# NdCoO3, optimized geometry, DFT PBE with a Hubbard U
# Total DFT energy (no corrections) ... -35.65 eV/f.u.
# E_form ... -2.5260 eV per atom
data_NdCoO3
_chemical_formula_sum 'Nd4 Co4 O12'
_cell_length_a 5.543
_cell_length_b 7.713
_cell_length_c 5.418
_cell_angle_alpha 90.00
_cell_angle_beta 90.00
_cell_angle_gamma 90.00
_symmetry_space_group_name_H-M 'P n m a'
_symmetry_Int_Tables_number 62
loop_
_symmetry_equiv_pos_as_xyz
'x,y,z'
'-x,-y,-z'
'-x+1/2,-y,z+1/2'
'x+1/2,y,-z+1/2'
'x+1/2,-y+1/2,-z+1/2'
'-x+1/2,y+1/2,z+1/2'
'-x,y+1/2,-z'
'x,-y+1/2,z'
loop_
_atom_site_label
_atom_site_type_symbol
_atom_site_fract_x
_atom_site_fract_y
_atom_site_fract_z
_atom_site_occupancy
Nd1 Nd 0.045 0.250 0.012 1
Co1 Co 0.000 0.000 0.500 1
O1 O 0.017 0.750 0.422 1
O2 O 0.211 0.543 0.787 1



# NdCoSbPbO6, optimized geometry, DFT PBE with a Hubbard U
# Total DFT energy (no corrections) ... -64.80 eV/f.u.
# E_form ... -2.1159 eV per atom
data_NdCoSbPbO6
_chemical_formula_sum 'Nd2 Co2 Sb2 Pb2 O12'
_cell_length_a 5.646
_cell_length_b 5.824
_cell_length_c 9.793
_cell_angle_alpha 90.00
_cell_angle_beta 124.89
_cell_angle_gamma 90.00
_symmetry_space_group_name_H-M 'P 1 c 1'
_symmetry_Int_Tables_number 7
loop_
_symmetry_equiv_pos_as_xyz
'x,y,z'
'x,-y,z+1/2'
loop_
_atom_site_label
_atom_site_type_symbol
_atom_site_fract_x
_atom_site_fract_y
_atom_site_fract_z
_atom_site_occupancy
Nd1 Nd 0.000 0.190 0.000 1
Co1 Co 0.236 0.265 0.751 1
Sb1 Sb 0.732 0.259 0.247 1
Pb1 Pb 0.483 0.272 0.502 1
O1 O 0.046 0.043 0.284 1
O2 O 0.387 0.440 0.198 1
O3 O 0.479 0.019 0.706 1
O4 O 0.590 0.266 0.005 1
O5 O 0.909 0.218 0.492 1
O6 O 0.964 0.453 0.796 1